Record 1
DFT (GGA-PBE) results for crystalline Pm2MgS4 at its relaxed geometry.

Summary:
Spin magnetization, μB/f.u.: 0.00
DFT total energy, Ry per atom: -0.414
Space group: No. 2
Mass density, g/cm3: 3.786

Cell: 7.610 8.840 11.826 Å, 100.52 96.59 90.96°
Atoms (fractional coordinates):
Pm 0.133 0.448 0.336
Pm 0.139 0.970 0.346
Pm 0.253 0.129 0.998
Pm 0.361 0.293 0.658
Pm 0.639 0.707 0.342
Pm 0.747 0.871 0.002
Pm 0.861 0.030 0.654
Pm 0.867 0.552 0.664
Mg 0.249 0.614 0.994
Mg 0.362 0.793 0.684
Mg 0.638 0.207 0.316
Mg 0.751 0.386 0.006
S 0.097 0.411 0.107
S 0.105 0.910 0.116
S 0.198 0.545 0.603
S 0.201 0.007 0.610
S 0.303 0.718 0.378
S 0.348 0.226 0.393
S 0.386 0.836 0.892
S 0.399 0.357 0.887
S 0.601 0.643 0.113
S 0.614 0.164 0.108
S 0.652 0.774 0.607
S 0.697 0.282 0.622
S 0.799 0.993 0.390
S 0.802 0.455 0.397
S 0.895 0.090 0.884
S 0.903 0.589 0.893



Record 2
DFT (GGA-PBE) results for crystalline Pm2MgS4 at its relaxed geometry.

Summary:
Spin magnetization, μB/f.u.: 0.00
DFT total energy, Ry per atom: -0.413
Space group: No. 62
Mass density, g/cm3: 4.253

Cell: 8.193 7.231 11.666 Å, 90.00 90.00 90.00°
Atoms (fractional coordinates):
Pm 0.029 0.250 0.187
Pm 0.086 0.750 0.468
Pm 0.414 0.250 0.968
Pm 0.471 0.750 0.687
Pm 0.529 0.250 0.313
Pm 0.586 0.750 0.032
Pm 0.914 0.250 0.532
Pm 0.971 0.750 0.813
Mg 0.190 0.750 0.085
Mg 0.310 0.250 0.585
Mg 0.690 0.750 0.415
Mg 0.810 0.250 0.915
S 0.090 0.250 0.946
S 0.142 0.504 0.655
S 0.142 0.996 0.655
S 0.206 0.250 0.391
S 0.294 0.750 0.891
S 0.358 0.004 0.155
S 0.358 0.496 0.155
S 0.410 0.750 0.446
S 0.590 0.250 0.554
S 0.642 0.504 0.845
S 0.642 0.996 0.845
S 0.706 0.250 0.109
S 0.794 0.750 0.609
S 0.858 0.004 0.345
S 0.858 0.496 0.345
S 0.910 0.750 0.054



no.,DFT formation energy (eV/atom),E above lowest polymorph (eV/atom)
1,-1.9640,0.170
2,-1.9618,0.172